Entry from Materials Project: MgMn4Ag4O16 after structural relaxation (GGA+U).

E (MP2020) = -154.914 eV per cell
relative energy among the computed polymorphs = 15 meV/atom
energy = -137.2 eV for the cell shown
V = 13.86 A^3/atom

abc: 6.185 6.974 8.048
angles: 90.00 87.01 89.01
Space group P1 (No. 1)
Asymmetric unit:
Mg: 0.000 0.000 0.000 x1
Mn: 0.248 0.111 0.646 x1
Mn: 0.255 0.607 0.865 x1
Mn: 0.756 0.607 0.136 x1
Mn: 0.762 0.112 0.356 x1
Ag: 0.256 0.366 0.257 x1
Ag: 0.281 0.852 0.270 x1
Ag: 0.730 0.846 0.729 x1
Ag: 0.753 0.363 0.746 x1
O: 0.011 0.109 0.773 x1
O: 0.037 0.610 0.754 x1
O: 0.243 0.302 0.526 x1
O: 0.247 0.808 0.990 x1
O: 0.248 0.911 0.534 x1
O: 0.253 0.413 0.986 x1
O: 0.471 0.109 0.752 x1
O: 0.485 0.604 0.746 x1
O: 0.526 0.608 0.255 x1
O: 0.540 0.116 0.249 x1
O: 0.761 0.808 0.010 x1
O: 0.762 0.412 0.015 x1
O: 0.764 0.911 0.466 x1
O: 0.767 0.303 0.476 x1
O: 0.974 0.608 0.247 x1
O: 0.999 0.105 0.228 x1